MgAg2O4 | PBE | relaxed

```
MgAg2O4
1.0
-2.714 -2.365 -5.138
3.559 -3.503 -3.798
-5.093 -18.777 7.899
O Ag Mg
32 16 8
Direct
0.764 0.329 0.067
0.822 0.822 0.564
0.187 0.187 0.926
0.264 0.837 0.567
0.559 0.559 0.819
0.939 0.939 0.675
0.690 0.690 0.937
0.426 0.968 0.684
0.083 0.515 0.815
0.670 0.215 0.934
0.575 0.575 0.317
0.313 0.313 0.574
0.910 0.488 0.183
0.515 0.083 0.815
0.074 0.074 0.813
0.438 0.438 0.179
0.322 0.322 0.069
0.585 0.012 0.317
0.062 0.062 0.323
0.688 0.688 0.428
0.175 0.175 0.433
0.968 0.426 0.684
0.215 0.670 0.934
0.437 0.437 0.686
0.739 0.163 0.433
0.329 0.764 0.067
0.488 0.910 0.183
0.807 0.807 0.067
0.163 0.739 0.433
0.925 0.925 0.186
0.837 0.264 0.567
0.012 0.585 0.317
0.631 0.124 0.624
0.357 0.357 0.466
0.377 0.872 0.875
0.872 0.377 0.875
0.392 0.392 0.284
0.117 0.628 0.126
0.898 0.898 0.781
0.628 0.117 0.126
0.148 0.148 0.032
0.643 0.643 0.532
0.875 0.375 0.375
0.108 0.108 0.218
0.124 0.631 0.624
0.252 0.252 0.748
0.375 0.875 0.375
0.500 0.500 0.000
0.126 0.126 0.625
0.749 0.749 0.251
0.000 0.000 0.499
0.608 0.608 0.720
0.875 0.875 0.375
0.376 0.376 0.875
0.858 0.858 0.970
0.626 0.626 0.125
```

Output
Raw total energy (eV per formula unit): -31.5
MP2020-corrected energy (eV per formula unit): -34.2
Formation energy (eV/atom): -1.027
Theoretical density (Mg/m³): 5.58

=====

MgAg2O4 | PBE | relaxed

```
MgAg2O4
1.0
-4.933 0.589 -3.834
0.677 -1.745 -5.990
-2.908 -5.222 -1.912
O Ag Mg
8 4 2
Direct
0.176 0.611 0.611
0.611 0.176 0.611
0.137 0.137 0.594
0.137 0.594 0.137
0.122 0.122 0.122
0.611 0.611 0.176
0.619 0.619 0.619
0.594 0.137 0.137
0.373 0.373 0.878
0.757 0.757 0.757
0.878 0.373 0.373
0.373 0.878 0.373
0.990 0.990 0.990
0.373 0.373 0.373
```

Output
Raw total energy (eV per formula unit): -31.4
MP2020-corrected energy (eV per formula unit): -34.2
Formation energy (eV/atom): -1.019
Theoretical density (Mg/m³): 5.55

=====

MgAg2O4 | PBE | relaxed

```
MgAg2O4
1.0
-1.606 2.179 -1.874
-6.521 -3.231 3.506
-1.596 5.657 4.991
O Ag Mg
8 4 2
Direct
0.111 0.663 0.948
0.891 0.315 0.085
0.424 0.722 0.247
0.159 0.338 0.401
0.698 0.045 0.332
0.578 0.257 0.786
0.304 0.934 0.701
0.843 0.640 0.632
0.666 0.165 0.560
0.336 0.814 0.473
0.931 0.457 0.831
0.072 0.521 0.202
0.702 0.796 0.827
0.301 0.182 0.207
```

Output
Raw total energy (eV per formula unit): -31.4
MP2020-corrected energy (eV per formula unit): -34.1
Formation energy (eV/atom): -1.011
Theoretical density (Mg/m³): 5.17

=====

MgAg2O4 | PBE | relaxed

```
MgAg2O4
1.0
3.128 0.000 0.000
0.000 9.544 0.000
0.000 0.000 11.030
O Mg Ag
16 4 8
Direct
0.750 0.373 0.072
0.250 0.127 0.572
0.750 0.622 0.461
0.250 0.627 0.928
0.250 0.777 0.704
0.250 0.378 0.539
0.750 0.023 0.776
0.750 0.523 0.724
0.750 0.723 0.204
0.750 0.223 0.296
0.250 0.977 0.224
0.250 0.878 0.961
0.750 0.873 0.428
0.750 0.122 0.039
0.250 0.277 0.796
0.250 0.477 0.276
0.250 0.750 0.342
0.750 0.250 0.658
0.750 0.750 0.842
0.250 0.250 0.158
0.750 0.433 0.889
0.250 0.567 0.111
0.750 0.914 0.107
0.750 0.933 0.611
0.250 0.586 0.607
0.250 0.067 0.389
0.250 0.086 0.893
0.750 0.414 0.393
```

Output
Raw total energy (eV per formula unit): -30.9
MP2020-corrected energy (eV per formula unit): -33.7
Formation energy (eV/atom): -0.948
Theoretical density (Mg/m³): 6.13

=====

MgAg2O4 | PBE | relaxed

```
MgAg2O4
1.0
3.185 0.000 0.000
0.000 9.825 0.000
0.000 0.000 10.824
Ag O Mg
8 16 4
Direct
0.835 0.428 0.885
0.835 0.072 0.885
0.835 0.572 0.615
0.165 0.072 0.385
0.835 0.928 0.615
0.165 0.428 0.385
0.165 0.572 0.115
0.165 0.928 0.115
0.867 0.125 0.550
0.536 0.000 0.250
0.464 0.000 0.750
0.133 0.375 0.050
0.836 0.250 0.785
0.133 0.125 0.050
0.836 0.750 0.715
0.164 0.250 0.285
0.164 0.750 0.215
0.464 0.500 0.750
0.536 0.500 0.250
0.133 0.875 0.450
0.133 0.625 0.450
0.867 0.875 0.950
0.867 0.375 0.550
0.867 0.625 0.950
0.656 0.250 0.149
0.344 0.750 0.851
0.656 0.750 0.351
0.344 0.250 0.649
```

Output
Raw total energy (eV per formula unit): -31.9
MP2020-corrected energy (eV per formula unit): -34.6
Formation energy (eV/atom): -1.079
Theoretical density (Mg/m³): 5.96

=====

MgAg2O4 | PBE | relaxed

```
MgAg2O4
1.0
-2.946 2.946 5.906
2.946 -2.946 5.906
2.946 2.946 -5.906
O Mg Ag
8 2 4
Direct
0.659 0.394 0.265
0.606 0.872 0.265
0.606 0.341 0.735
0.622 0.856 0.765
0.144 0.909 0.765
0.144 0.378 0.235
0.128 0.394 0.735
0.091 0.856 0.235
0.250 0.750 0.500
0.500 0.500 0.000
0.875 0.125 0.250
0.375 0.125 0.250
0.875 0.125 0.750
0.875 0.625 0.750
```

Output
Raw total energy (eV per formula unit): -31.8
MP2020-corrected energy (eV per formula unit): -34.5
Formation energy (eV/atom): -1.066
Theoretical density (Mg/m³): 4.93